Version A
# Li2MnP2O8

A relaxed structure of Li2MnP2O8 (GGA+U, Materials Project).

Cell lengths 4.7505, 5.7869, 10.0651 Å; angles 90.04, 90.89, 91.43 degrees
With the nearest neighbours (Å) after each atom.
Space group P-1 (No. 2)
Symmetry-distinct sites (fractional):
Li 0.0000 0.0000 0.0000 [1 per cell]  6 O 2.03-2.16
Li 0.0296 0.2508 0.7319 [2 per cell]  5 O 2.04-2.22
Li 0.5000 0.5000 0.5000 [1 per cell]  6 O 2.18-2.24
Mn 0.4886 0.2480 0.2183 [2 per cell]  6 O 1.92-2.00
P 0.0842 0.7518 0.6040 [2 per cell]  4 O 1.51-1.60
P 0.4353 0.7457 0.0891 [2 per cell]  4 O 1.50-1.60
O 0.1493 0.7436 0.4581 [2 per cell]  1 P 1.51
O 0.2387 0.2578 0.3739 [2 per cell]  1 P 1.55
O 0.2402 0.9516 0.6849 [2 per cell]  1 P 1.58
O 0.2491 0.5474 0.6765 [2 per cell]  1 P 1.60
O 0.2498 0.2391 0.9077 [2 per cell]  1 P 1.50
O 0.2882 0.9594 0.1582 [2 per cell]  1 P 1.60
O 0.3013 0.5315 0.1624 [2 per cell]  1 P 1.57
O 0.3035 0.7490 0.9432 [2 per cell]  1 P 1.59



Version B
# Li2MnP2O8

A relaxed structure of Li2MnP2O8 (GGA+U, Materials Project).

Cell lengths 5.0379, 7.8230, 8.7856 Å; angles 90.00, 120.80, 90.00 degrees
With the nearest neighbours (Å) after each atom.
Space group P2_1/c (No. 14)
Symmetry-distinct sites (fractional):
Li 0.9999 0.1360 0.0944 [4 per cell]  3 O 1.84-2.00
Mn 0.0000 0.0000 0.5000 [2 per cell]  6 O 1.94-2.09
P 0.3380 0.6889 0.8006 [4 per cell]  4 O 1.49-1.57
O 0.2041 0.6251 0.2439 [4 per cell]  1 P 1.57
O 0.2109 0.5675 0.6481 [4 per cell]  1 P 1.49
O 0.2590 0.6410 0.9468 [4 per cell]  1 P 1.57
O 0.2999 0.1931 0.5996 [4 per cell]  1 P 1.57



Version C
# Li2MnP2O8

A relaxed structure of Li2MnP2O8 (GGA+U, Materials Project).

Cell lengths 8.9560, 13.4365, 9.0832 Å; angles 90.00, 90.00, 90.00 degrees
With the nearest neighbours (Å) after each atom.
Space group Pbca (No. 61)
Symmetry-distinct sites (fractional):
Li 0.0456 0.1266 0.2263 [8 per cell]  3 O 1.90-2.08
Li 0.2156 0.6270 0.4587 [8 per cell]  4 O 1.94-2.17
Mn 0.1046 0.6239 0.8603 [8 per cell]  6 O 1.95-2.00
P 0.0655 0.2196 0.9265 [8 per cell]  4 O 1.50-1.59
P 0.1864 0.5103 0.1599 [8 per cell]  4 O 1.51-1.56
O 0.0006 0.6410 0.4762 [8 per cell]  1 P 1.50
O 0.0032 0.2186 0.7653 [8 per cell]  1 P 1.57
O 0.0209 0.0134 0.7017 [8 per cell]  1 P 1.56
O 0.0318 0.1695 0.4789 [8 per cell]  1 P 1.59
O 0.2020 0.5258 0.9903 [8 per cell]  1 P 1.56
O 0.2236 0.5872 0.6895 [8 per cell]  1 P 1.56
O 0.2351 0.6000 0.2472 [8 per cell]  1 P 1.51
O 0.2411 0.2206 0.9216 [8 per cell]  1 P 1.57



Most stable: version C



Version A
# LiMn2P4O14

A relaxed structure of LiMn2P4O14 (GGA+U, Materials Project).

Cell lengths 5.2133, 6.2855, 9.0496 Å; angles 100.28, 100.53, 104.02 degrees
With the nearest neighbours (Å) after each atom.
Space group P1 (No. 1)
Symmetry-distinct sites (fractional):
Li 0.0000 0.0000 0.0000 [1 per cell]  3 O 1.92-2.14
Mn 0.2768 0.6699 0.8279 [1 per cell]  4 O 1.90-1.99
Mn 0.7888 0.1944 0.5383 [1 per cell]  5 O 1.88-2.04
P 0.2746 0.2875 0.3358 [1 per cell]  4 O 1.52-1.63
P 0.4084 0.1972 0.8011 [1 per cell]  4 O 1.51-1.60
P 0.6633 0.6740 0.5651 [1 per cell]  4 O 1.52-1.59
P 0.8112 0.5805 0.0443 [1 per cell]  4 O 1.51-1.63
O 0.0546 0.6705 0.9746 [1 per cell]  1 P 1.55
O 0.0725 0.2297 0.4340 [1 per cell]  1 P 1.52
O 0.1514 0.2642 0.1661 [1 per cell]  1 P 1.52
O 0.2074 0.3413 0.7841 [1 per cell]  1 P 1.55
O 0.2558 0.9844 0.8459 [1 per cell]  1 P 1.54
O 0.4416 0.5524 0.4082 [1 per cell]  2 P 1.59-1.63
O 0.4845 0.1544 0.3492 [1 per cell]  1 P 1.53
O 0.5232 0.1480 0.6615 [1 per cell]  1 P 1.51
O 0.5236 0.7120 0.6981 [1 per cell]  1 P 1.53
O 0.6233 0.7301 0.0163 [1 per cell]  1 P 1.53
O 0.6588 0.3224 0.9459 [1 per cell]  2 P 1.60-1.63
O 0.8261 0.8958 0.5406 [1 per cell]  1 P 1.52
O 0.8594 0.5285 0.6005 [1 per cell]  1 P 1.56
O 0.8935 0.5709 0.2109 [1 per cell]  1 P 1.51



Version B
# LiMn2P4O14

A relaxed structure of LiMn2P4O14 (GGA+U, Materials Project).

Cell lengths 5.1316, 6.2520, 8.9935 Å; angles 100.74, 100.79, 102.87 degrees
With the nearest neighbours (Å) after each atom.
Space group P1 (No. 1)
Symmetry-distinct sites (fractional):
Li 0.0000 0.0000 0.0000 [1 per cell]  3 O 2.05-2.11
Mn 0.4381 0.4214 0.3287 [1 per cell]  4 O 1.89-1.96
Mn 0.8854 0.8907 0.6000 [1 per cell]  4 O 1.91-1.97
P 0.0403 0.4206 0.5882 [1 per cell]  4 O 1.52-1.59
P 0.2888 0.8891 0.3387 [1 per cell]  4 O 1.51-1.61
P 0.4222 0.8130 0.8175 [1 per cell]  4 O 1.52-1.63
P 0.8973 0.4922 0.1011 [1 per cell]  4 O 1.51-1.65
O 0.0787 0.7571 0.1739 [1 per cell]  2 P 1.61-1.65
O 0.0955 0.3421 0.1196 [1 per cell]  1 P 1.54
O 0.1309 0.9153 0.4635 [1 per cell]  1 P 1.51
O 0.1777 0.3903 0.4527 [1 per cell]  1 P 1.52
O 0.1893 0.9315 0.8181 [1 per cell]  1 P 1.54
O 0.2665 0.5455 0.7454 [1 per cell]  2 P 1.59-1.63
O 0.4386 0.1089 0.3062 [1 per cell]  1 P 1.53
O 0.5004 0.7509 0.3720 [1 per cell]  1 P 1.55
O 0.5961 0.8371 0.9791 [1 per cell]  1 P 1.52
O 0.5957 0.8848 0.7055 [1 per cell]  1 P 1.53
O 0.6780 0.4455 0.1908 [1 per cell]  1 P 1.51
O 0.7923 0.4809 0.9294 [1 per cell]  1 P 1.52
O 0.8269 0.5600 0.5575 [1 per cell]  1 P 1.56
O 0.8871 0.2004 0.6163 [1 per cell]  1 P 1.52



Version C
# LiMn2P4O14

A relaxed structure of LiMn2P4O14 (GGA+U, Materials Project).

Cell lengths 9.6588, 9.7038, 11.2186 Å; angles 90.89, 99.88, 90.25 degrees
With the nearest neighbours (Å) after each atom.
Space group P1 (No. 1)
Symmetry-distinct sites (fractional):
Li 0.0000 0.0000 0.0000 [1 per cell]  4 O 1.91-2.09
Li 0.0149 0.3765 0.4379 [1 per cell]  4 O 1.90-2.04
Li 0.0684 0.6639 0.5154 [1 per cell]  3 O 1.80-1.97
Li 0.3157 0.1194 0.4896 [1 per cell]  3 O 1.83-2.04
Mn 0.1079 0.1560 0.6567 [1 per cell]  5 O 1.93-2.09
Mn 0.1445 0.3707 0.1542 [1 per cell]  4 O 1.94-2.08
Mn 0.2025 0.8576 0.8201 [1 per cell]  5 O 1.95-2.12
Mn 0.2184 0.6648 0.3094 [1 per cell]  5 O 1.91-2.12
Mn 0.6106 0.5190 0.6451 [1 per cell]  5 O 1.93-2.06
Mn 0.6341 0.3202 0.1461 [1 per cell]  5 O 1.94-2.11
Mn 0.6936 0.8156 0.8226 [1 per cell]  4 O 1.95-2.03
Mn 0.7134 0.0187 0.3242 [1 per cell]  5 O 1.97-2.04
P 0.0289 0.3790 0.8715 [1 per cell]  4 O 1.52-1.60
P 0.0406 0.9410 0.4098 [1 per cell]  4 O 1.51-1.62
P 0.2860 0.4300 0.5705 [1 per cell]  4 O 1.51-1.63
P 0.3042 0.8810 0.0948 [1 per cell]  4 O 1.52-1.59
P 0.3477 0.6563 0.7435 [1 per cell]  4 O 1.52-1.60
P 0.3856 0.1525 0.2254 [1 per cell]  4 O 1.48-1.62
P 0.4407 0.0300 0.7343 [1 per cell]  4 O 1.49-1.61
P 0.4878 0.5131 0.2312 [1 per cell]  4 O 1.52-1.59
P 0.5329 0.3043 0.8622 [1 per cell]  4 O 1.53-1.59
P 0.5401 0.7400 0.4083 [1 per cell]  4 O 1.52-1.63
P 0.7819 0.2412 0.5585 [1 per cell]  4 O 1.53-1.63
P 0.7957 0.8047 0.1074 [1 per cell]  4 O 1.51-1.60
P 0.8419 0.0180 0.7376 [1 per cell]  4 O 1.52-1.60
P 0.8924 0.5364 0.2351 [1 per cell]  4 O 1.49-1.62
P 0.9417 0.6497 0.7471 [1 per cell]  4 O 1.49-1.62
P 0.9813 0.1589 0.2291 [1 per cell]  4 O 1.50-1.61
O 0.0138 0.5011 0.7766 [1 per cell]  2 P 1.60-1.62
O 0.0276 0.7545 0.8348 [1 per cell]  1 P 1.54
O 0.0507 0.5490 0.2076 [1 per cell]  1 P 1.62
O 0.0531 0.0197 0.2856 [1 per cell]  2 P 1.61-1.62
O 0.0730 0.2814 0.2937 [1 per cell]  1 P 1.57
O 0.0969 0.2612 0.8101 [1 per cell]  1 P 1.53
O 0.0986 0.7951 0.3909 [1 per cell]  1 P 1.55
O 0.1236 0.4325 0.9879 [1 per cell]  1 P 1.54
O 0.1319 0.0260 0.5112 [1 per cell]  1 P 1.54
O 0.1830 0.5077 0.4768 [1 per cell]  1 P 1.53
O 0.2008 0.9337 0.9821 [1 per cell]  1 P 1.56
O 0.2339 0.2811 0.5883 [1 per cell]  1 P 1.55
O 0.2394 0.7601 0.1505 [1 per cell]  1 P 1.52
O 0.2467 0.7656 0.6729 [1 per cell]  1 P 1.57
O 0.2835 0.5078 0.6999 [1 per cell]  2 P 1.60-1.63
O 0.2890 0.0356 0.7694 [1 per cell]  1 P 1.58
O 0.2999 0.2516 0.1339 [1 per cell]  1 P 1.55
O 0.3150 0.0018 0.1936 [1 per cell]  2 P 1.59-1.62
O 0.3331 0.5100 0.2545 [1 per cell]  1 P 1.56
O 0.3325 0.6856 0.8738 [1 per cell]  1 P 1.52
O 0.3762 0.1798 0.3539 [1 per cell]  1 P 1.48
O 0.3799 0.7400 0.4126 [1 per cell]  1 P 1.56
O 0.3886 0.3450 0.8885 [1 per cell]  1 P 1.53
O 0.4358 0.4280 0.5487 [1 per cell]  1 P 1.51
O 0.4366 0.0130 0.6016 [1 per cell]  1 P 1.49
O 0.4503 0.8484 0.0684 [1 per cell]  1 P 1.52
O 0.4994 0.6602 0.7166 [1 per cell]  1 P 1.55
O 0.5063 0.4939 0.0999 [1 per cell]  1 P 1.52
O 0.5149 0.1773 0.7695 [1 per cell]  2 P 1.59-1.61
O 0.5242 0.9256 0.8192 [1 per cell]  1 P 1.54
O 0.5368 0.1427 0.1946 [1 per cell]  1 P 1.56
O 0.5539 0.6563 0.2839 [1 per cell]  2 P 1.59-1.63
O 0.5825 0.3961 0.2943 [1 per cell]  1 P 1.56
O 0.5904 0.8851 0.3870 [1 per cell]  1 P 1.52
O 0.6039 0.4161 0.7988 [1 per cell]  1 P 1.53
O 0.6220 0.6632 0.5147 [1 per cell]  1 P 1.52
O 0.6251 0.2566 0.9802 [1 per cell]  1 P 1.54
O 0.6958 0.1577 0.4552 [1 per cell]  1 P 1.53
O 0.7018 0.7556 0.9889 [1 per cell]  1 P 1.54
O 0.7193 0.9141 0.1729 [1 per cell]  1 P 1.54
O 0.7273 0.3853 0.5806 [1 per cell]  1 P 1.53
O 0.7465 0.8975 0.6783 [1 per cell]  1 P 1.55
O 0.7771 0.1597 0.6841 [1 per cell]  2 P 1.60-1.63
O 0.7899 0.6416 0.7790 [1 per cell]  1 P 1.57
O 0.8158 0.6790 0.1989 [1 per cell]  2 P 1.60
O 0.8183 0.4257 0.1482 [1 per cell]  1 P 1.53
O 0.8300 0.1625 0.2578 [1 per cell]  1 P 1.55
O 0.8368 0.0082 0.8715 [1 per cell]  1 P 1.52
O 0.8844 0.3398 0.8977 [1 per cell]  1 P 1.52
O 0.8875 0.9318 0.4220 [1 per cell]  1 P 1.51
O 0.8942 0.5191 0.3674 [1 per cell]  1 P 1.49
O 0.9390 0.2529 0.5493 [1 per cell]  1 P 1.54
O 0.9394 0.8497 0.0869 [1 per cell]  1 P 1.51
O 0.9419 0.6709 0.6162 [1 per cell]  1 P 1.49
O 0.9948 0.0120 0.7098 [1 per cell]  1 P 1.56
O 0.9975 0.1645 0.0984 [1 per cell]  1 P 1.50



Most stable: version B



Version A
# Li2Mn2P2O9

A relaxed structure of Li2Mn2P2O9 (GGA+U, Materials Project).

Cell lengths 8.4321, 5.6365, 15.3450 Å; angles 90.00, 90.00, 90.00 degrees
With the nearest neighbours (Å) after each atom.
Space group Pnma (No. 62)
Symmetry-distinct sites (fractional):
Li 0.0380 0.2500 0.2401 [4 per cell]  1 O 1.94
Li 0.1891 0.2500 0.8650 [4 per cell]  3 O 1.86-2.08
Mn 0.0000 0.0000 0.5000 [4 per cell]  4 O 1.89-2.04
Mn 0.2048 0.2500 0.0675 [4 per cell]  4 O 1.87-2.01
P 0.1731 0.7500 0.9182 [4 per cell]  4 O 1.51-1.59
P 0.2020 0.2500 0.6641 [4 per cell]  4 O 1.50-1.62
O 0.0092 0.7500 0.9638 [4 per cell]  1 P 1.55
O 0.0673 0.2500 0.5887 [4 per cell]  1 P 1.62
O 0.0681 0.7500 0.5729 [4 per cell]  3 Mn 1.89-1.92
O 0.1168 0.2500 0.7503 [4 per cell]  1 P 1.50
O 0.1646 0.7500 0.8198 [4 per cell]  1 P 1.51
O 0.1940 0.5242 0.1506 [8 per cell]  1 P 1.56
O 0.2399 0.0168 0.4505 [8 per cell]  1 P 1.59



Version B
# Li2Mn2P2O9

A relaxed structure of Li2Mn2P2O9 (GGA+U, Materials Project).

Cell lengths 8.3807, 5.6484, 15.0417 Å; angles 90.00, 90.00, 90.00 degrees
With the nearest neighbours (Å) after each atom.
Space group Pnma (No. 62)
Symmetry-distinct sites (fractional):
Li 0.0595 0.2500 0.1292 [4 per cell]  1 O 1.86
Li 0.0603 0.2500 0.7599 [4 per cell]  1 O 1.95
Mn 0.0000 0.0000 0.5000 [4 per cell]  4 O 1.89-2.04
Mn 0.2039 0.2500 0.9392 [4 per cell]  4 O 1.88-2.07
P 0.1690 0.7500 0.0768 [4 per cell]  4 O 1.51-1.58
P 0.2099 0.2500 0.3348 [4 per cell]  4 O 1.49-1.61
O 0.0092 0.7500 0.0221 [4 per cell]  1 P 1.57
O 0.0689 0.7500 0.4254 [4 per cell]  3 Mn 1.89-1.92
O 0.0749 0.2500 0.4111 [4 per cell]  1 P 1.61
O 0.1263 0.2500 0.2474 [4 per cell]  1 P 1.49
O 0.1422 0.7500 0.1759 [4 per cell]  1 P 1.51
O 0.1798 0.5272 0.8504 [8 per cell]  1 P 1.58
O 0.2414 0.0175 0.5471 [8 per cell]  1 P 1.58



Most stable: version B